[1]
VASP calculation (r²SCAN) on Ca2P2O7 after structural relaxation.

Lattice parameters (Å, degrees): 8.4955 5.3240 13.7353 67.04 90.00 90.00
Fractional positions:
Ca1 0.8130 0.4920 0.7654
Ca2 0.6126 0.1728 0.5900
Ca3 0.3874 0.8272 0.4100
Ca4 0.8874 0.1728 0.0900
Ca5 0.1126 0.8272 0.9100
Ca6 0.6870 0.4920 0.2654
Ca7 0.1870 0.5080 0.2346
Ca8 0.3130 0.5080 0.7346
O1 0.1565 0.0111 0.3368
O2 0.4022 0.7786 0.2366
O3 0.8542 0.6045 0.9161
O4 0.2404 0.4182 0.9110
O5 0.6565 0.9889 0.1632
O6 0.5978 0.2214 0.7634
O7 0.0862 0.2011 0.5656
O8 0.8409 0.0362 0.9460
O9 0.1591 0.9638 0.0540
O10 0.7596 0.5818 0.0890
O11 0.6458 0.6045 0.4161
O12 0.1458 0.3955 0.0839
O13 0.3435 0.0111 0.8368
O14 0.7404 0.5818 0.5890
O15 0.2596 0.4182 0.4110
O16 0.6591 0.0362 0.4460
O17 0.4672 0.2297 0.2420
O18 0.0978 0.7786 0.7366
O19 0.5328 0.7703 0.7580
O20 0.8435 0.9889 0.6632
O21 0.9138 0.7989 0.4344
O22 0.4138 0.2011 0.0656
O23 0.3409 0.9638 0.5540
O24 0.0328 0.2297 0.7420
O25 0.9022 0.2214 0.2634
O26 0.9672 0.7703 0.2580
O27 0.3542 0.3955 0.5839
O28 0.5862 0.7989 0.9344
P1 0.9880 0.9536 0.3191
P2 0.2354 0.2410 0.0272
P3 0.0120 0.0464 0.6809
P4 0.7354 0.7590 0.4728
P5 0.4880 0.0464 0.1809
P6 0.7646 0.7590 0.9728
P7 0.2646 0.2410 0.5272
P8 0.5120 0.9536 0.8191

Calculated values
The magnetic moment is 0.00 μB/cell. As for the space-group type: P2_1/c (14). The calculation puts the uncorrected energy at -9.738 eV per atom. For the formation energy, the calculation gives -3021 meV per atom.


[2]
VASP calculation (r²SCAN) on PrSb12Os4 after structural relaxation.

Lattice parameters (Å, degrees): 8.1119 8.1119 8.1119 109.47 109.47 109.47
Fractional positions:
Sb1 0.8430 0.6601 0.5030
Sb2 0.1570 0.6601 0.8171
Sb3 0.5030 0.8430 0.6601
Sb4 0.6601 0.5030 0.8430
Sb5 0.4970 0.1570 0.3399
Sb6 0.1570 0.3399 0.4970
Sb7 0.8430 0.3399 0.1829
Sb8 0.1829 0.8430 0.3399
Sb9 0.3399 0.4970 0.1570
Sb10 0.6601 0.8171 0.1570
Sb11 0.8171 0.1570 0.6601
Sb12 0.3399 0.1829 0.8430
Os1 0.5000 0.5000 0.5000
Os2 0.5000 0.0000 0.0000
Os3 0.0000 0.0000 0.5000
Os4 0.0000 0.5000 0.0000
Pr1 0.0000 0.0000 0.0000

Calculated values
The magnetic moment is 0.00 μB/cell. As for the space-group type: Im-3 (204). The calculation puts the uncorrected energy at -32.582 eV per atom. For the formation energy, the calculation gives -240 meV per atom.


[3]
VASP calculation (r²SCAN) on KV3CdCu4O13 after structural relaxation.

Lattice parameters (Å, degrees): 6.1719 8.3847 10.7374 97.52 90.00 90.00
Fractional positions:
Cu1 0.9977 0.8899 0.7226
Cu2 0.7500 0.8577 0.4378
Cu3 0.0023 0.1101 0.2774
Cu4 0.2500 0.3918 0.3959
Cu5 0.5023 0.8899 0.7226
Cu6 0.2500 0.1423 0.5622
Cu7 0.4977 0.1101 0.2774
Cu8 0.7500 0.6082 0.6041
V1 0.7500 0.1813 0.6183
V2 0.7500 0.4673 0.2935
V3 0.2500 0.8572 0.9935
V4 0.2500 0.8187 0.3817
V5 0.7500 0.1428 0.0065
V6 0.2500 0.5327 0.7065
O1 0.4908 0.8759 0.3084
O2 0.7500 0.0759 0.1674
O3 0.9689 0.2592 0.9882
O4 0.2500 0.9103 0.5354
O5 0.0208 0.6536 0.7077
O6 0.7500 0.3816 0.6176
O7 0.2500 0.1585 0.3831
O8 0.7500 0.8415 0.6169
O9 0.2500 0.9241 0.8326
O10 0.9792 0.3464 0.2923
O11 0.5311 0.2592 0.9882
O12 0.2500 0.3767 0.5812
O13 0.4792 0.6536 0.7077
O14 0.2500 0.6184 0.3824
O15 0.2500 0.4509 0.8402
O16 0.4689 0.7408 0.0118
O17 0.2500 0.0187 0.1047
O18 0.7500 0.0897 0.4646
O19 0.7500 0.9813 0.8953
O20 0.5208 0.3464 0.2923
O21 0.0311 0.7408 0.0118
O22 0.0092 0.8759 0.3084
O23 0.9908 0.1241 0.6916
O24 0.7500 0.5491 0.1598
O25 0.7500 0.6233 0.4188
O26 0.5092 0.1241 0.6916
K1 0.7500 0.5128 0.8938
K2 0.2500 0.4872 0.1062
Cd1 0.2500 0.1940 0.8647
Cd2 0.7500 0.8060 0.1353

Calculated values
The magnetic moment is 8.00 μB/cell. As for the space-group type: P2_1/m (11). The calculation puts the uncorrected energy at -10.387 eV per atom. For the formation energy, the calculation gives -1777 meV per atom.


[4]
VASP calculation (r²SCAN) on Zr5CoSb3 after structural relaxation.

Lattice parameters (Å, degrees): 5.7875 8.6243 8.6243 120.00 90.00 90.00
Fractional positions:
Sb1 0.2500 0.0000 0.3905
Sb2 0.2500 0.3905 0.0000
Sb3 0.7500 0.6095 0.0000
Sb4 0.2500 0.6095 0.6095
Sb5 0.7500 0.0000 0.6095
Sb6 0.7500 0.3905 0.3905
Zr1 0.2500 0.2535 0.2535
Zr2 0.5000 0.6667 0.3333
Zr3 0.2500 0.0000 0.7465
Zr4 0.2500 0.7465 0.0000
Zr5 0.5000 0.3333 0.6667
Zr6 0.7500 0.0000 0.2535
Zr7 0.7500 0.2535 0.0000
Zr8 0.0000 0.6667 0.3333
Zr9 0.7500 0.7465 0.7465
Zr10 0.0000 0.3333 0.6667
Co1 0.0000 0.0000 0.0000
Co2 0.5000 0.0000 0.0000

Calculated values
The magnetic moment is 0.00 μB/cell. As for the space-group type: P6_3/mcm (193). The calculation puts the uncorrected energy at -23.411 eV per atom. For the formation energy, the calculation gives -733 meV per atom.


[5]
VASP calculation (r²SCAN) on La8Nb7S22 after structural relaxation.

Lattice parameters (Å, degrees): 16.3911 16.3911 5.8438 90.00 90.00 90.69
Fractional positions:
Nb1 0.0000 0.5000 0.4991
Nb2 0.0704 0.4286 0.0017
Nb3 0.7128 0.7866 0.5007
Nb4 0.2872 0.2134 0.5007
Nb5 0.1431 0.3557 0.4995
Nb6 0.6443 0.8569 0.9995
Nb7 0.2134 0.2872 0.0007
Nb8 0.5000 0.0000 0.9991
Nb9 0.8569 0.6443 0.4995
Nb10 0.4286 0.0704 0.5017
Nb11 0.5714 0.9296 0.5017
Nb12 0.3557 0.1431 0.9995
Nb13 0.9296 0.5714 0.0017
Nb14 0.7866 0.7128 0.0007
S1 0.2097 0.4285 0.1695
S2 0.8880 0.0129 0.4218
S3 0.3881 0.5131 0.4263
S4 0.2634 0.6374 0.9177
S5 0.4285 0.2097 0.6695
S6 0.3626 0.7366 0.4177
S7 0.6470 0.7164 0.1675
S8 0.7366 0.3626 0.9177
S9 0.7120 0.9277 0.6668
S10 0.6374 0.2634 0.4177
S11 0.2152 0.1485 0.1704
S12 0.8607 0.5057 0.6706
S13 0.9961 0.6395 0.6685
S14 0.7903 0.5715 0.1695
S15 0.9290 0.4310 0.1677
S16 0.4943 0.1393 0.1706
S17 0.6119 0.4869 0.4263
S18 0.8613 0.2371 0.4299
S19 0.7848 0.8515 0.1704
S20 0.7629 0.1387 0.9299
S21 0.4310 0.9290 0.6677
S22 0.9277 0.7120 0.1668
S23 0.4869 0.6119 0.9263
S24 0.9871 0.1120 0.9218
S25 0.3530 0.2836 0.1675
S26 0.0723 0.2880 0.1668
S27 0.0039 0.3605 0.6685
S28 0.5690 0.0710 0.6677
S29 0.5057 0.8607 0.1706
S30 0.6395 0.9961 0.1685
S31 0.2371 0.8613 0.9299
S32 0.5131 0.3881 0.9263
S33 0.0129 0.8880 0.9218
S34 0.5715 0.7903 0.6695
S35 0.8515 0.7848 0.6704
S36 0.2880 0.0723 0.6668
S37 0.1120 0.9871 0.4218
S38 0.1485 0.2152 0.6704
S39 0.2836 0.3530 0.6675
S40 0.0710 0.5690 0.1677
S41 0.3605 0.0039 0.1685
S42 0.7164 0.6470 0.6675
S43 0.1387 0.7629 0.4299
S44 0.1393 0.4943 0.6706
La1 0.8906 0.2653 0.9393
La2 0.7347 0.1094 0.4393
La3 0.1094 0.7347 0.9393
La4 0.6100 0.2357 0.9112
La5 0.1399 0.0137 0.9202
La6 0.4840 0.3611 0.4315
La7 0.0137 0.1399 0.4202
La8 0.2357 0.6100 0.4112
La9 0.5160 0.6389 0.4315
La10 0.3611 0.4840 0.9315
La11 0.6389 0.5160 0.9315
La12 0.8601 0.9863 0.9202
La13 0.9863 0.8601 0.4202
La14 0.3900 0.7643 0.9112
La15 0.7643 0.3900 0.4112
La16 0.2653 0.8906 0.4393

Calculated values
The magnetic moment is 0.00 μB/cell. As for the space-group type: Ccc2 (37). The calculation puts the uncorrected energy at -17.886 eV per atom. For the formation energy, the calculation gives -1998 meV per atom.


[6]
VASP calculation (r²SCAN) on BaAl2Ga2 after structural relaxation.

Lattice parameters (Å, degrees): 6.4073 6.4073 6.4073 138.87 138.87 59.58
Fractional positions:
Ga1 0.3797 0.3797 0.0000
Ga2 0.6203 0.6203 0.0000
Ba1 0.0000 0.0000 0.0000
Al1 0.7500 0.2500 0.5000
Al2 0.2500 0.7500 0.5000

Calculated values
The magnetic moment is 0.00 μB/cell. As for the space-group type: I4/mmm (139). The calculation puts the uncorrected energy at -12.979 eV per atom. For the formation energy, the calculation gives -409 meV per atom.


> Look up the magnetic moment of the third one.

8.00 μB/cell


Copy entry 5 word for word.
VASP calculation (r²SCAN) on La8Nb7S22 after structural relaxation.

Lattice parameters (Å, degrees): 16.3911 16.3911 5.8438 90.00 90.00 90.69
Fractional positions:
Nb1 0.0000 0.5000 0.4991
Nb2 0.0704 0.4286 0.0017
Nb3 0.7128 0.7866 0.5007
Nb4 0.2872 0.2134 0.5007
Nb5 0.1431 0.3557 0.4995
Nb6 0.6443 0.8569 0.9995
Nb7 0.2134 0.2872 0.0007
Nb8 0.5000 0.0000 0.9991
Nb9 0.8569 0.6443 0.4995
Nb10 0.4286 0.0704 0.5017
Nb11 0.5714 0.9296 0.5017
Nb12 0.3557 0.1431 0.9995
Nb13 0.9296 0.5714 0.0017
Nb14 0.7866 0.7128 0.0007
S1 0.2097 0.4285 0.1695
S2 0.8880 0.0129 0.4218
S3 0.3881 0.5131 0.4263
S4 0.2634 0.6374 0.9177
S5 0.4285 0.2097 0.6695
S6 0.3626 0.7366 0.4177
S7 0.6470 0.7164 0.1675
S8 0.7366 0.3626 0.9177
S9 0.7120 0.9277 0.6668
S10 0.6374 0.2634 0.4177
S11 0.2152 0.1485 0.1704
S12 0.8607 0.5057 0.6706
S13 0.9961 0.6395 0.6685
S14 0.7903 0.5715 0.1695
S15 0.9290 0.4310 0.1677
S16 0.4943 0.1393 0.1706
S17 0.6119 0.4869 0.4263
S18 0.8613 0.2371 0.4299
S19 0.7848 0.8515 0.1704
S20 0.7629 0.1387 0.9299
S21 0.4310 0.9290 0.6677
S22 0.9277 0.7120 0.1668
S23 0.4869 0.6119 0.9263
S24 0.9871 0.1120 0.9218
S25 0.3530 0.2836 0.1675
S26 0.0723 0.2880 0.1668
S27 0.0039 0.3605 0.6685
S28 0.5690 0.0710 0.6677
S29 0.5057 0.8607 0.1706
S30 0.6395 0.9961 0.1685
S31 0.2371 0.8613 0.9299
S32 0.5131 0.3881 0.9263
S33 0.0129 0.8880 0.9218
S34 0.5715 0.7903 0.6695
S35 0.8515 0.7848 0.6704
S36 0.2880 0.0723 0.6668
S37 0.1120 0.9871 0.4218
S38 0.1485 0.2152 0.6704
S39 0.2836 0.3530 0.6675
S40 0.0710 0.5690 0.1677
S41 0.3605 0.0039 0.1685
S42 0.7164 0.6470 0.6675
S43 0.1387 0.7629 0.4299
S44 0.1393 0.4943 0.6706
La1 0.8906 0.2653 0.9393
La2 0.7347 0.1094 0.4393
La3 0.1094 0.7347 0.9393
La4 0.6100 0.2357 0.9112
La5 0.1399 0.0137 0.9202
La6 0.4840 0.3611 0.4315
La7 0.0137 0.1399 0.4202
La8 0.2357 0.6100 0.4112
La9 0.5160 0.6389 0.4315
La10 0.3611 0.4840 0.9315
La11 0.6389 0.5160 0.9315
La12 0.8601 0.9863 0.9202
La13 0.9863 0.8601 0.4202
La14 0.3900 0.7643 0.9112
La15 0.7643 0.3900 0.4112
La16 0.2653 0.8906 0.4393

Calculated values
The magnetic moment is 0.00 μB/cell. As for the space-group type: Ccc2 (37). The calculation puts the uncorrected energy at -17.886 eV per atom. For the formation energy, the calculation gives -1998 meV per atom.